Record 1
Na3YSi2SnSO12: relaxed, PBE-GGA.

calculated volume	14.29	Å³ per atom
ΔE_f	-2.643	eV per atom

POSCAR file:
```
Na3YSi2SnSO12
1.0
9.268 0.031 -0.130
-4.607 8.041 0.130
-0.341 0.197 22.970
O Y Si Na Sn S
72 6 12 18 6 6
Direct
0.540 0.861 0.477
0.176 0.216 0.693
0.451 0.157 0.526
0.690 0.523 0.249
0.883 0.343 0.648
0.699 0.565 0.527
0.197 0.712 0.756
0.657 0.117 0.148
0.324 0.451 0.481
0.037 0.834 0.698
0.704 0.167 0.031
0.828 0.810 0.586
0.477 0.310 0.749
0.862 0.324 0.245
0.009 0.804 0.411
0.873 0.527 0.143
0.638 0.151 0.419
0.796 0.004 0.799
0.663 0.537 0.632
0.343 0.471 0.078
0.484 0.136 0.249
0.784 0.824 0.193
0.130 0.671 0.465
0.495 0.144 0.919
0.971 0.818 0.085
0.151 0.470 0.582
0.190 0.172 0.086
0.473 0.127 0.643
0.955 0.137 0.589
0.196 0.991 0.911
0.806 0.793 0.310
0.843 0.549 0.026
0.676 0.138 0.745
0.329 0.870 0.965
0.500 0.630 0.864
0.144 0.644 0.082
0.182 0.029 0.585
0.810 0.977 0.416
0.356 0.856 0.582
0.370 0.500 0.364
0.622 0.470 0.923
0.849 0.362 0.919
0.529 0.657 0.578
0.549 0.676 0.981
0.033 0.232 0.193
0.864 0.516 0.749
0.530 0.378 0.423
0.515 0.696 0.252
0.856 0.505 0.419
0.768 0.967 0.693
0.288 0.803 0.256
0.216 0.009 0.314
0.139 0.460 0.977
0.833 0.296 0.531
0.101 0.634 0.360
0.509 0.882 0.360
0.207 0.194 0.810
0.023 0.190 0.916
0.304 0.485 0.752
0.118 0.491 0.860
0.991 0.784 0.814
0.817 0.803 0.916
0.863 0.045 0.089
0.523 0.839 0.752
0.996 0.204 0.299
0.166 0.963 0.198
0.463 0.337 0.132
0.530 0.849 0.082
0.435 0.301 0.027
0.161 0.477 0.252
0.366 0.899 0.860
0.197 0.183 0.416
0.671 0.344 0.686
0.656 0.329 0.186
0.005 0.011 0.353
0.989 0.995 0.853
0.323 0.662 0.519
0.338 0.677 0.019
0.677 0.040 0.089
0.298 0.300 0.753
0.344 0.373 0.422
0.700 0.702 0.253
0.964 0.634 0.086
0.366 0.036 0.586
0.627 0.656 0.922
0.631 0.967 0.419
0.033 0.369 0.919
0.010 0.707 0.756
0.293 0.990 0.256
0.960 0.323 0.589
0.007 0.032 0.498
0.005 0.366 0.741
0.673 0.365 0.831
0.025 0.341 0.078
0.672 0.699 0.075
0.659 0.975 0.578
0.967 0.661 0.908
0.358 0.007 0.745
0.339 0.033 0.408
0.993 0.642 0.245
0.301 0.328 0.575
0.301 0.660 0.665
0.340 0.699 0.165
0.635 0.327 0.331
0.634 0.995 0.241
0.691 0.674 0.412
0.326 0.309 0.912
0.968 0.993 0.998
0.658 0.309 0.482
0.691 0.342 0.982
0.358 0.676 0.315
0.024 0.009 0.649
0.991 0.976 0.149
0.324 0.642 0.815
0.015 0.308 0.247
0.682 0.641 0.580
0.026 0.652 0.413
0.348 0.974 0.913
0.692 0.985 0.747
0.359 0.318 0.080
```


Record 2
Na3Sc2P3O12: relaxed, PBE-GGA.

calculated volume	13.27	Å³ per atom
space group	Cc (9)
ΔE_f	-3.064	eV per atom

POSCAR file:
```
Na3Sc2P3O12
1.0
9.017 -0.009 -0.004
-4.516 7.804 0.004
-0.009 0.005 22.645
O Na P Sc
72 18 18 12
Direct
0.137 0.498 0.578
0.312 0.476 0.755
0.188 0.010 0.588
0.694 0.152 0.028
0.848 0.306 0.528
0.156 0.677 0.755
0.022 0.812 0.694
0.971 0.168 0.589
0.791 0.973 0.694
0.813 0.789 0.305
0.010 0.187 0.912
0.355 0.857 0.578
0.863 0.502 0.423
0.541 0.696 0.968
0.974 0.790 0.805
0.489 0.345 0.421
0.211 0.187 0.805
0.210 0.026 0.305
0.517 0.877 0.362
0.639 0.124 0.139
0.677 0.521 0.245
0.149 0.695 0.475
0.488 0.126 0.635
0.874 0.512 0.135
0.356 0.475 0.358
0.857 0.354 0.922
0.027 0.209 0.194
0.788 0.819 0.196
0.876 0.361 0.639
0.972 0.181 0.305
0.502 0.863 0.078
0.832 0.029 0.089
0.831 0.810 0.589
0.190 0.169 0.089
0.498 0.137 0.923
0.123 0.483 0.862
0.168 0.971 0.911
0.544 0.855 0.473
0.145 0.456 0.973
0.990 0.812 0.088
0.530 0.835 0.755
0.813 0.990 0.412
0.143 0.645 0.078
0.305 0.851 0.975
0.452 0.142 0.525
0.819 0.028 0.805
0.188 0.978 0.194
0.479 0.323 0.745
0.304 0.459 0.468
0.810 0.831 0.911
0.476 0.164 0.245
0.344 0.489 0.079
0.836 0.524 0.745
0.858 0.548 0.025
0.128 0.637 0.365
0.695 0.540 0.532
0.029 0.832 0.411
0.644 0.525 0.642
0.646 0.143 0.422
0.460 0.305 0.032
0.695 0.165 0.744
0.181 0.212 0.696
0.511 0.656 0.579
0.323 0.844 0.255
0.525 0.644 0.858
0.169 0.190 0.411
0.165 0.470 0.255
0.655 0.511 0.921
0.524 0.688 0.255
0.835 0.305 0.244
0.475 0.356 0.142
0.363 0.872 0.865
0.644 0.320 0.833
0.665 0.969 0.583
0.968 0.665 0.917
0.031 0.335 0.083
0.000 0.000 0.500
0.302 0.970 0.083
0.635 0.999 0.250
0.030 0.698 0.583
0.970 0.302 0.417
0.333 0.667 0.667
0.680 0.356 0.333
0.001 0.365 0.750
0.335 0.032 0.417
0.637 0.636 0.750
0.698 0.030 0.917
0.364 0.363 0.250
0.333 0.667 0.167
0.000 0.000 0.000
0.037 0.371 0.917
0.334 0.960 0.918
0.960 0.333 0.583
0.371 0.333 0.085
0.629 0.667 0.914
0.297 0.297 0.750
0.667 0.629 0.585
0.706 0.000 0.750
0.000 0.704 0.750
0.371 0.037 0.581
0.667 0.040 0.083
0.333 0.371 0.414
0.629 0.963 0.417
0.703 0.703 0.250
0.000 0.294 0.250
0.040 0.666 0.418
0.296 0.000 0.250
0.963 0.629 0.081
0.993 0.990 0.351
0.328 0.666 0.316
0.334 0.672 0.816
0.993 0.991 0.149
0.009 0.007 0.649
0.660 0.336 0.983
0.335 0.659 0.517
0.010 0.007 0.851
0.673 0.342 0.184
0.658 0.327 0.684
0.341 0.665 0.017
0.664 0.340 0.483
```


Record 3
InMo6Se8: relaxed, PBE-GGA.

calculated volume	21.97	Å³ per atom
space group	R-3 (148)
ΔE_f	-0.739	eV per atom

POSCAR file:
```
InMo6Se8
1.0
4.925 -4.844 0.000
4.925 4.844 0.000
0.160 0.000 6.906
Se In Mo
8 1 6
Direct
0.615 0.879 0.257
0.385 0.121 0.743
0.879 0.257 0.615
0.756 0.756 0.756
0.743 0.385 0.121
0.244 0.244 0.244
0.121 0.743 0.385
0.257 0.615 0.879
0.000 0.000 0.000
0.421 0.561 0.240
0.760 0.579 0.439
0.439 0.760 0.579
0.579 0.439 0.760
0.561 0.240 0.421
0.240 0.421 0.561
```


ΔE_f of number 1 (Na3YSi2SnSO12)? -2.643 eV per atom


What is the calculated volume in the third record? 21.97 Å³ per atom


Copy entry 2 word for word.
Na3Sc2P3O12: relaxed, PBE-GGA.

calculated volume	13.27	Å³ per atom
space group	Cc (9)
ΔE_f	-3.064	eV per atom

POSCAR file:
```
Na3Sc2P3O12
1.0
9.017 -0.009 -0.004
-4.516 7.804 0.004
-0.009 0.005 22.645
O Na P Sc
72 18 18 12
Direct
0.137 0.498 0.578
0.312 0.476 0.755
0.188 0.010 0.588
0.694 0.152 0.028
0.848 0.306 0.528
0.156 0.677 0.755
0.022 0.812 0.694
0.971 0.168 0.589
0.791 0.973 0.694
0.813 0.789 0.305
0.010 0.187 0.912
0.355 0.857 0.578
0.863 0.502 0.423
0.541 0.696 0.968
0.974 0.790 0.805
0.489 0.345 0.421
0.211 0.187 0.805
0.210 0.026 0.305
0.517 0.877 0.362
0.639 0.124 0.139
0.677 0.521 0.245
0.149 0.695 0.475
0.488 0.126 0.635
0.874 0.512 0.135
0.356 0.475 0.358
0.857 0.354 0.922
0.027 0.209 0.194
0.788 0.819 0.196
0.876 0.361 0.639
0.972 0.181 0.305
0.502 0.863 0.078
0.832 0.029 0.089
0.831 0.810 0.589
0.190 0.169 0.089
0.498 0.137 0.923
0.123 0.483 0.862
0.168 0.971 0.911
0.544 0.855 0.473
0.145 0.456 0.973
0.990 0.812 0.088
0.530 0.835 0.755
0.813 0.990 0.412
0.143 0.645 0.078
0.305 0.851 0.975
0.452 0.142 0.525
0.819 0.028 0.805
0.188 0.978 0.194
0.479 0.323 0.745
0.304 0.459 0.468
0.810 0.831 0.911
0.476 0.164 0.245
0.344 0.489 0.079
0.836 0.524 0.745
0.858 0.548 0.025
0.128 0.637 0.365
0.695 0.540 0.532
0.029 0.832 0.411
0.644 0.525 0.642
0.646 0.143 0.422
0.460 0.305 0.032
0.695 0.165 0.744
0.181 0.212 0.696
0.511 0.656 0.579
0.323 0.844 0.255
0.525 0.644 0.858
0.169 0.190 0.411
0.165 0.470 0.255
0.655 0.511 0.921
0.524 0.688 0.255
0.835 0.305 0.244
0.475 0.356 0.142
0.363 0.872 0.865
0.644 0.320 0.833
0.665 0.969 0.583
0.968 0.665 0.917
0.031 0.335 0.083
0.000 0.000 0.500
0.302 0.970 0.083
0.635 0.999 0.250
0.030 0.698 0.583
0.970 0.302 0.417
0.333 0.667 0.667
0.680 0.356 0.333
0.001 0.365 0.750
0.335 0.032 0.417
0.637 0.636 0.750
0.698 0.030 0.917
0.364 0.363 0.250
0.333 0.667 0.167
0.000 0.000 0.000
0.037 0.371 0.917
0.334 0.960 0.918
0.960 0.333 0.583
0.371 0.333 0.085
0.629 0.667 0.914
0.297 0.297 0.750
0.667 0.629 0.585
0.706 0.000 0.750
0.000 0.704 0.750
0.371 0.037 0.581
0.667 0.040 0.083
0.333 0.371 0.414
0.629 0.963 0.417
0.703 0.703 0.250
0.000 0.294 0.250
0.040 0.666 0.418
0.296 0.000 0.250
0.963 0.629 0.081
0.993 0.990 0.351
0.328 0.666 0.316
0.334 0.672 0.816
0.993 0.991 0.149
0.009 0.007 0.649
0.660 0.336 0.983
0.335 0.659 0.517
0.010 0.007 0.851
0.673 0.342 0.184
0.658 0.327 0.684
0.341 0.665 0.017
0.664 0.340 0.483
```


The lowest calculated volume belongs to which entry? Na3Sc2P3O12